Run a
{
  "formula": "P2Pb3O8",
  "functional": "PBE-GGA",
  "state": "relaxed",
  "lattice": [[4.987, -8.639, 0.000], [4.987, 8.639, 0.000], [0.000, 0.000, 14.660]],
  "species": ["O", "O", "O", "O", "O", "O", "O", "O", "O", "O", "O", "O", "O", "O", "O", "O", "O", "O", "O", "O", "O", "O", "O", "O", "O", "O", "O", "O", "O", "O", "O", "O", "O", "O", "O", "O", "O", "O", "O", "O", "O", "O", "O", "O", "O", "O", "O", "O", "P", "P", "P", "P", "P", "P", "P", "P", "P", "P", "P", "P", "Pb", "Pb", "Pb", "Pb", "Pb", "Pb", "Pb", "Pb", "Pb", "Pb", "Pb", "Pb", "Pb", "Pb", "Pb", "Pb", "Pb", "Pb"],
  "fractional_positions": [[0.481, 0.574, 0.874], [0.310, 0.842, 0.123], [0.347, 0.082, 0.210], [0.666, 0.929, 0.291], [0.913, 0.263, 0.039], [0.426, 0.906, 0.874], [0.532, 0.690, 0.123], [0.519, 0.426, 0.126], [0.427, 0.904, 0.377], [0.690, 0.158, 0.877], [0.906, 0.481, 0.126], [0.650, 0.913, 0.961], [0.081, 0.734, 0.461], [0.468, 0.310, 0.877], [0.734, 0.653, 0.210], [0.737, 0.666, 0.709], [0.347, 0.081, 0.539], [0.071, 0.737, 0.291], [0.094, 0.519, 0.874], [0.904, 0.478, 0.623], [0.682, 0.161, 0.376], [0.350, 0.087, 0.039], [0.574, 0.094, 0.126], [0.263, 0.334, 0.291], [0.842, 0.532, 0.877], [0.263, 0.350, 0.961], [0.573, 0.096, 0.623], [0.266, 0.347, 0.790], [0.082, 0.734, 0.790], [0.334, 0.071, 0.709], [0.479, 0.318, 0.376], [0.653, 0.919, 0.461], [0.653, 0.918, 0.790], [0.318, 0.839, 0.624], [0.737, 0.650, 0.039], [0.161, 0.479, 0.624], [0.478, 0.573, 0.377], [0.919, 0.266, 0.539], [0.096, 0.522, 0.377], [0.158, 0.468, 0.123], [0.734, 0.653, 0.539], [0.521, 0.682, 0.624], [0.522, 0.427, 0.623], [0.266, 0.347, 0.461], [0.929, 0.263, 0.709], [0.087, 0.737, 0.961], [0.918, 0.266, 0.210], [0.839, 0.521, 0.376], [0.628, 0.607, 0.124], [0.607, 0.979, 0.876], [0.626, 0.607, 0.625], [0.019, 0.626, 0.375], [0.372, 0.393, 0.876], [0.021, 0.628, 0.876], [0.981, 0.374, 0.625], [0.393, 0.021, 0.124], [0.979, 0.372, 0.124], [0.393, 0.019, 0.625], [0.607, 0.981, 0.375], [0.374, 0.393, 0.375], [0.667, 0.333, 0.512], [0.739, 0.744, 0.371], [0.005, 0.261, 0.371], [0.264, 0.010, 0.873], [0.333, 0.667, 0.488], [0.010, 0.745, 0.127], [0.667, 0.333, 0.252], [0.256, 0.995, 0.371], [0.736, 0.990, 0.127], [0.745, 0.736, 0.873], [0.255, 0.264, 0.127], [0.744, 0.005, 0.629], [0.667, 0.333, 0.983], [0.995, 0.739, 0.629], [0.333, 0.667, 0.017], [0.261, 0.256, 0.629], [0.333, 0.667, 0.748], [0.990, 0.255, 0.873]]
}

***

Run b
{
  "formula": "P2Pb3O8",
  "functional": "PBE-GGA",
  "state": "relaxed",
  "lattice": [[7.030, -2.782, 0.000], [7.030, 2.782, 0.000], [5.929, 0.000, 4.691]],
  "species": ["O", "O", "O", "O", "O", "O", "O", "O", "Pb", "Pb", "Pb", "P", "P"],
  "fractional_positions": [[0.724, 0.265, 0.724], [0.672, 0.672, 0.672], [0.265, 0.724, 0.724], [0.328, 0.328, 0.328], [0.276, 0.276, 0.735], [0.735, 0.276, 0.276], [0.276, 0.735, 0.276], [0.724, 0.724, 0.265], [0.213, 0.213, 0.213], [0.787, 0.787, 0.787], [0.000, 0.000, 0.000], [0.403, 0.403, 0.403], [0.597, 0.597, 0.597]]
}

***

So which one is most stable? That would be run a, about 26 meV/atom below the next structure.